First-principles (r2SCAN) data for NiTeO4 after structural relaxation, as listed in the Materials Project database.

Cell lengths 4.6501, 10.1941, 5.5576 Å; angles 83.25, 90.00, 90.00 degrees
Fractional positions:
O1 0.8171 0.7106 0.8997
O2 0.6828 0.2106 0.8997
O3 0.1829 0.5394 0.3503
O4 0.2143 0.8006 0.6170
O5 0.6828 0.7106 0.3998
O6 0.3171 0.5394 0.8503
O7 0.1830 0.0394 0.8503
O8 0.7858 0.4494 0.6329
O9 0.3171 0.0394 0.3503
O10 0.8172 0.2106 0.3997
O11 0.2857 0.3006 0.6170
O12 0.7858 0.9494 0.1329
O13 0.7142 0.4494 0.1329
O14 0.2857 0.8006 0.1170
O15 0.2143 0.3006 0.1170
O16 0.7142 0.9494 0.6329
Ni1 0.0000 0.6250 0.6250
Ni2 0.5000 0.6250 0.1250
Ni3 0.0000 0.1250 0.1250
Ni4 0.5000 0.1250 0.6250
Te1 0.5000 0.3750 0.8750
Te2 0.0000 0.3750 0.3750
Te3 0.0000 0.8750 0.8750
Te4 0.5000 0.8750 0.3750

---

First-principles (r2SCAN) data for DyNi4As2 after structural relaxation, as listed in the Materials Project database.

SG = P4_2/mnm

Cell lengths 7.1954, 7.1954, 3.7371 Å; angles 90.00, 90.00, 90.00 degrees
Fractional positions:
Dy1 0.0000 0.0000 0.0000
Dy2 0.5000 0.5000 0.5000
Ni1 0.0880 0.3463 0.5000
Ni2 0.1537 0.5880 0.0000
Ni3 0.3463 0.0880 0.5000
Ni4 0.4120 0.8463 0.0000
Ni5 0.5880 0.1537 0.0000
Ni6 0.6537 0.9120 0.5000
Ni7 0.8463 0.4120 0.0000
Ni8 0.9120 0.6537 0.5000
As1 0.2185 0.7815 0.5000
As2 0.2815 0.2815 0.0000
As3 0.7185 0.7185 0.0000
As4 0.7815 0.2185 0.5000

---

First-principles (r2SCAN) data for KAlO2 after structural relaxation, as listed in the Materials Project database.

SG = Pbca

Cell lengths 5.4176, 10.8792, 15.4731 Å; angles 90.00, 90.00, 90.00 degrees
Fractional positions:
K1 0.2035 0.2389 0.1848
K2 0.2035 0.2611 0.6848
K3 0.2456 0.0096 0.5616
K4 0.2456 0.4904 0.0616
K5 0.2544 0.5096 0.5616
K6 0.2544 0.9904 0.0616
K7 0.2965 0.7389 0.1848
K8 0.2965 0.7611 0.6848
K9 0.7035 0.2389 0.3152
K10 0.7035 0.2611 0.8152
K11 0.7456 0.0096 0.9384
K12 0.7456 0.4904 0.4384
K13 0.7544 0.5096 0.9384
K14 0.7544 0.9904 0.4384
K15 0.7965 0.7389 0.3152
K16 0.7965 0.7611 0.8152
Al1 0.2194 0.2375 0.4363
Al2 0.2194 0.2625 0.9363
Al3 0.2448 0.0080 0.8114
Al4 0.2448 0.4920 0.3114
Al5 0.2552 0.5080 0.8114
Al6 0.2552 0.9920 0.3114
Al7 0.2806 0.7375 0.4363
Al8 0.2806 0.7625 0.9363
Al9 0.7194 0.2375 0.0637
Al10 0.7194 0.2625 0.5637
Al11 0.7448 0.0080 0.6886
Al12 0.7448 0.4920 0.1886
Al13 0.7552 0.5080 0.6886
Al14 0.7552 0.9920 0.1886
Al15 0.7806 0.7375 0.0637
Al16 0.7806 0.7625 0.5637
O1 0.0518 0.5158 0.2216
O2 0.0518 0.9842 0.7216
O3 0.0710 0.7140 0.0160
O4 0.0710 0.7860 0.5160
O5 0.1756 0.5960 0.3949
O6 0.1756 0.9040 0.8949
O7 0.1992 0.1582 0.8501
O8 0.1992 0.3418 0.3501
O9 0.3008 0.6582 0.8501
O10 0.3008 0.8418 0.3501
O11 0.3244 0.0960 0.3949
O12 0.3244 0.4040 0.8949
O13 0.4290 0.2140 0.0160
O14 0.4290 0.2860 0.5160
O15 0.4482 0.0158 0.2216
O16 0.4482 0.4842 0.7216
O17 0.5518 0.5158 0.2784
O18 0.5518 0.9842 0.7784
O19 0.5710 0.7140 0.4840
O20 0.5710 0.7860 0.9840
O21 0.6756 0.5960 0.1051
O22 0.6756 0.9040 0.6051
O23 0.6992 0.1582 0.6499
O24 0.6992 0.3418 0.1499
O25 0.8008 0.6582 0.6499
O26 0.8008 0.8418 0.1499
O27 0.8244 0.0960 0.1051
O28 0.8244 0.4040 0.6051
O29 0.9290 0.2140 0.4840
O30 0.9290 0.2860 0.9840
O31 0.9482 0.0158 0.2784
O32 0.9482 0.4842 0.7784

---

First-principles (r2SCAN) data for RbNiCl3 after structural relaxation, as listed in the Materials Project database.

SG = P6_3/mmc

Cell lengths 6.9727, 6.9727, 5.8895 Å; angles 90.00, 90.00, 120.00 degrees
Fractional positions:
Rb1 0.3333 0.6667 0.2500
Rb2 0.6667 0.3333 0.7500
Ni1 0.0000 0.0000 0.0000
Ni2 0.0000 0.0000 0.5000
Cl1 0.1573 0.3145 0.7500
Cl2 0.1573 0.8427 0.7500
Cl3 0.3145 0.1573 0.2500
Cl4 0.6855 0.8427 0.7500
Cl5 0.8427 0.1573 0.2500
Cl6 0.8427 0.6855 0.2500

---

First-principles (r2SCAN) data for LuNbRu2 after structural relaxation, as listed in the Materials Project database.

SG = Fm-3m

Cell lengths 4.5659, 4.5659, 4.5659 Å; angles 60.00, 60.00, 60.00 degrees
Fractional positions:
Lu1 0.0000 0.0000 0.0000
Nb1 0.5000 0.5000 0.5000
Ru1 0.2500 0.2500 0.2500
Ru2 0.7500 0.7500 0.7500

---

First-principles (r2SCAN) data for LuNiB4 after structural relaxation, as listed in the Materials Project database.

SG = Pbam

Cell lengths 5.8381, 11.3132, 3.3408 Å; angles 90.00, 90.00, 90.00 degrees
Fractional positions:
Lu1 0.1270 0.1500 0.0000
Lu2 0.3730 0.6500 0.0000
Lu3 0.6270 0.3500 0.0000
Lu4 0.8730 0.8500 0.0000
Ni1 0.1334 0.4117 0.0000
Ni2 0.3666 0.9117 0.0000
Ni3 0.6334 0.0883 0.0000
Ni4 0.8666 0.5883 0.0000
B1 0.0215 0.6919 0.5000
B2 0.1142 0.5475 0.5000
B3 0.1365 0.9672 0.5000
B4 0.2142 0.8146 0.5000
B5 0.2858 0.3146 0.5000
B6 0.3635 0.4672 0.5000
B7 0.3858 0.0475 0.5000
B8 0.4785 0.1919 0.5000
B9 0.5215 0.8081 0.5000
B10 0.6142 0.9525 0.5000
B11 0.6365 0.5328 0.5000
B12 0.7142 0.6854 0.5000
B13 0.7858 0.1854 0.5000
B14 0.8635 0.0328 0.5000
B15 0.8858 0.4525 0.5000
B16 0.9785 0.3081 0.5000

---

First-principles (r2SCAN) data for CeClO after structural relaxation, as listed in the Materials Project database.

SG = P4/nmm

Cell lengths 4.0572, 4.0572, 6.8994 Å; angles 90.00, 90.00, 90.00 degrees
Fractional positions:
Ce1 0.2500 0.2500 0.1760
Ce2 0.7500 0.7500 0.8240
Cl1 0.2500 0.2500 0.6311
Cl2 0.7500 0.7500 0.3689
O1 0.2500 0.7500 0.0000
O2 0.7500 0.2500 0.0000

---

First-principles (r2SCAN) data for PmSnAu2 after structural relaxation, as listed in the Materials Project database.

SG = Fm-3m

Cell lengths 5.0151, 5.0151, 5.0151 Å; angles 60.00, 60.00, 60.00 degrees
Fractional positions:
Pm1 0.0000 0.0000 0.0000
Sn1 0.5000 0.5000 0.5000
Au1 0.2500 0.2500 0.2500
Au2 0.7500 0.7500 0.7500

---

First-principles (r2SCAN) data for CdPb3 after structural relaxation, as listed in the Materials Project database.

SG = I4/mmm

Cell lengths 6.1170, 6.1170, 6.1170 Å; angles 133.82, 133.82, 67.37 degrees
Fractional positions:
Cd1 0.0000 0.0000 0.0000
Pb1 0.2500 0.7500 0.5000
Pb2 0.5000 0.5000 0.0000
Pb3 0.7500 0.2500 0.5000

---

First-principles (r2SCAN) data for Ce3Sb4Pt3 after structural relaxation, as listed in the Materials Project database.

SG = I-43d

Cell lengths 8.5151, 8.5151, 8.5151 Å; angles 109.47, 109.47, 109.47 degrees
Fractional positions:
Ce1 0.1250 0.8750 0.2500
Ce2 0.2500 0.1250 0.8750
Ce3 0.3750 0.6250 0.7500
Ce4 0.6250 0.7500 0.3750
Ce5 0.7500 0.3750 0.6250
Ce6 0.8750 0.2500 0.1250
Sb1 0.0000 0.1676 0.5000
Sb2 0.0000 0.6676 0.5000
Sb3 0.1676 0.5000 0.0000
Sb4 0.3324 0.3324 0.3324
Sb5 0.5000 0.0000 0.1676
Sb6 0.5000 0.0000 0.6676
Sb7 0.6676 0.5000 0.0000
Sb8 0.8324 0.8324 0.8324
Pt1 0.1250 0.7500 0.8750
Pt2 0.2500 0.6250 0.3750
Pt3 0.3750 0.2500 0.6250
Pt4 0.6250 0.3750 0.2500
Pt5 0.7500 0.8750 0.1250
Pt6 0.8750 0.1250 0.7500

---

First-principles (r2SCAN) data for Gd2InPd2 after structural relaxation, as listed in the Materials Project database.

SG = P4/mbm

Cell lengths 7.7409, 7.7409, 3.7546 Å; angles 90.00, 90.00, 90.00 degrees
Fractional positions:
Gd1 0.1742 0.3258 0.0000
Gd2 0.3258 0.8258 0.0000
Gd3 0.6742 0.1742 0.0000
Gd4 0.8258 0.6742 0.0000
In1 0.0000 0.0000 0.5000
In2 0.5000 0.5000 0.5000
Pd1 0.1282 0.6282 0.5000
Pd2 0.3718 0.1282 0.5000
Pd3 0.6282 0.8718 0.5000
Pd4 0.8718 0.3718 0.5000

---

First-principles (r2SCAN) data for PuB2Os after structural relaxation, as listed in the Materials Project database.

SG = Pnma

Cell lengths 5.7863, 5.3570, 6.4644 Å; angles 90.00, 90.00, 90.00 degrees
Fractional positions:
Pu1 0.0002 0.2500 0.1588
Pu2 0.9998 0.7500 0.8412
Pu3 0.5002 0.2500 0.3412
Pu4 0.4998 0.7500 0.6588
B1 0.1324 0.0867 0.5354
B2 0.1324 0.4133 0.5354
B3 0.3676 0.5867 0.0354
B4 0.3676 0.9133 0.0354
B5 0.6324 0.0867 0.9646
B6 0.6324 0.4133 0.9646
B7 0.8676 0.5867 0.4646
B8 0.8676 0.9133 0.4646
Os1 0.1881 0.7500 0.3140
Os2 0.3119 0.2500 0.8140
Os3 0.6881 0.7500 0.1860
Os4 0.8119 0.2500 0.6860

---

First-principles (r2SCAN) data for LiZnGe after structural relaxation, as listed in the Materials Project database.

SG = P-6m2

Cell lengths 4.2261, 4.2261, 9.3356 Å; angles 90.00, 90.00, 120.00 degrees
Fractional positions:
Li1 0.0000 0.0000 0.0000
Li2 0.0000 0.0000 0.3337
Li3 0.0000 0.0000 0.6663
Zn1 0.3333 0.6667 0.5000
Zn2 0.6667 0.3333 0.2063
Zn3 0.6667 0.3333 0.7937
Ge1 0.3333 0.6667 0.1353
Ge2 0.3333 0.6667 0.8647
Ge3 0.6667 0.3333 0.5000

---

First-principles (r2SCAN) data for TiNb2O7 after structural relaxation, as listed in the Materials Project database.

SG = Cm

Cell lengths 10.4237, 10.4237, 12.0739 Å; angles 119.67, 119.67, 21.19 degrees
Fractional positions:
Ti1 0.0000 0.0000 0.0000
Ti2 0.4117 0.4117 0.2671
Ti3 0.5138 0.5138 0.6153
Nb1 0.5914 0.5914 0.2596
Nb2 0.6233 0.6233 0.9843
Nb3 0.6998 0.6998 0.6304
Nb4 0.7843 0.7843 0.2694
Nb5 0.8186 0.8186 0.0023
Nb6 0.8943 0.8943 0.6441
O1 0.0771 0.0771 0.2065
O2 0.1073 0.1073 0.0080
O3 0.2089 0.2089 0.6318
O4 0.3026 0.3026 0.2510
O5 0.3330 0.3330 0.0530
O6 0.4152 0.4152 0.6323
O7 0.4552 0.4552 0.4340
O8 0.4948 0.4948 0.2460
O9 0.5312 0.5312 0.0317
O10 0.5779 0.5779 0.8126
O11 0.6032 0.6032 0.6149
O12 0.6545 0.6545 0.4328
O13 0.6796 0.6796 0.2133
O14 0.7295 0.7295 0.0457
O15 0.7551 0.7551 0.8288
O16 0.8054 0.8054 0.6448
O17 0.8301 0.8301 0.4425
O18 0.8787 0.8787 0.2283
O19 0.9160 0.9160 0.0152
O20 0.9567 0.9567 0.8299
O21 0.9953 0.9953 0.6240

---

First-principles (r2SCAN) data for TeI4 after structural relaxation, as listed in the Materials Project database.

SG = Pmn2_1

Cell lengths 17.0875, 7.1766, 14.8622 Å; angles 90.00, 90.00, 90.00 degrees
Fractional positions:
Te1 0.0000 0.2234 0.0000
Te2 0.0000 0.2398 0.5372
Te3 0.1414 0.2349 0.2684
Te4 0.3586 0.7651 0.7684
Te5 0.5000 0.7602 0.0372
Te6 0.5000 0.7766 0.5000
Te7 0.6414 0.7651 0.7684
Te8 0.8586 0.2349 0.2684
I1 0.0000 0.4851 0.3559
I2 0.0000 0.4855 0.8623
I3 0.0000 0.9724 0.6723
I4 0.0000 0.9872 0.1850
I5 0.1209 0.0073 0.9314
I6 0.1217 0.4523 0.6091
I7 0.1285 0.9904 0.4307
I8 0.1303 0.4786 0.1065
I9 0.2467 0.5359 0.8478
I10 0.2481 0.9948 0.1890
I11 0.2519 0.0052 0.6890
I12 0.2533 0.4641 0.3478
I13 0.3697 0.5214 0.6065
I14 0.3715 0.0096 0.9307
I15 0.3783 0.5477 0.1091
I16 0.3791 0.9927 0.4314
I17 0.5000 0.0128 0.6850
I18 0.5000 0.0276 0.1723
I19 0.5000 0.5145 0.3623
I20 0.5000 0.5149 0.8559
I21 0.6209 0.9927 0.4314
I22 0.6217 0.5477 0.1091
I23 0.6285 0.0096 0.9307
I24 0.6303 0.5214 0.6065
I25 0.7467 0.4641 0.3478
I26 0.7481 0.0052 0.6890
I27 0.7519 0.9948 0.1890
I28 0.7533 0.5359 0.8478
I29 0.8697 0.4786 0.1065
I30 0.8715 0.9904 0.4307
I31 0.8783 0.4523 0.6091
I32 0.8791 0.0073 0.9314

---

First-principles (r2SCAN) data for Ho10Si17 after structural relaxation, as listed in the Materials Project database.

SG = Imm2

Cell lengths 10.9394, 10.9394, 10.9394 Å; angles 135.96, 57.76, 144.55 degrees
Fractional positions:
Ho1 0.0000 0.2446 0.2446
Ho2 0.0000 0.7554 0.7554
Ho3 0.2019 0.2535 0.4513
Ho4 0.2019 0.7506 0.9484
Ho5 0.4058 0.2541 0.6476
Ho6 0.4058 0.7582 0.1517
Ho7 0.6065 0.2541 0.8483
Ho8 0.6065 0.7582 0.3524
Ho9 0.8022 0.2535 0.0516
Ho10 0.8022 0.7506 0.5487
Si1 0.0814 0.2007 0.8807
Si2 0.1090 0.6926 0.4164
Si3 0.1358 0.8352 0.3006
Si4 0.2762 0.6926 0.5836
Si5 0.3200 0.2007 0.1193
Si6 0.3211 0.3211 0.0000
Si7 0.4215 0.6206 0.8009
Si8 0.4799 0.1936 0.2863
Si9 0.5346 0.8352 0.6994
Si10 0.6321 0.1321 0.5000
Si11 0.6708 0.6708 0.0000
Si12 0.7397 0.3401 0.3996
Si13 0.7433 0.8474 0.8959
Si14 0.8197 0.6206 0.1991
Si15 0.9073 0.1936 0.7137
Si16 0.9404 0.3401 0.6004
Si17 0.9516 0.8474 0.1041

---

| no. | volume (Å³ per cell) | electronic total energy (eV per atom) |
| --- | --- | --- |
| 1 | 261.6 | -11.38 |
| 2 | 193.5 | -16.27 |
| 3 | 912.0 | -9.02 |
| 4 | 248.0 | -10.37 |
| 5 | 67.3 | -28.91 |
| 6 | 220.7 | -13.85 |
| 7 | 113.6 | -17.70 |
| 8 | 89.2 | -39.59 |
| 9 | 117.2 | -47.18 |
| 10 | 475.3 | -36.17 |
| 11 | 225.0 | -31.92 |
| 12 | 200.4 | -39.08 |
| 13 | 144.4 | -8.67 |
| 14 | 409.7 | -13.32 |
| 15 | 1822.6 | -24.87 |
| 16 | 523.5 | -18.41 |